Here is crystalline Zn2TeBr2O3 at its relaxed geometry from Materials Project. Energies are from GGA-PBE.

The calculation puts the density at 4.46 g/cm3. The calculation puts the raw total energy at -261.8 eV for the cell shown. As for the magnetic moment: 0.0000 μB per atom. The crystal system is orthorhombic. The value obtained for the energy of formation is -11.01 eV per formula unit.

It has space group Pccn (No. 56), with a = 10.7496 Å, b = 16.4859 Å, c = 7.8307 Å, α = 90.00°, β = 90.00° and γ = 90.00°. The inequivalent atoms are Zn at (0.0104, 0.1068, 0.1576), Zn at (0.2354, 0.0220, 0.3998), Te at (0.0306, 0.0926, 0.7115), Br at (0.0844, 0.2099, 0.3428), Br at (0.2055, 0.6256, 0.4362), O at (0.0585, 0.0095, 0.3021), O at (0.0924, 0.0789, 0.9382) and O at (0.1881, 0.0516, 0.6438).